[1]
! HoTiSi, relaxed, DFT GGA-PBE; values from VASP
! Symmetry: No. 129
! Energy relative to the elements (eV per atom): -0.63
! MP2020-corrected energy (eV for the cell shown): -39.62
! Calculated total energy (eV/atom): -6.626
&SYSTEM
  ibrav = 0, nat = 6, ntyp = 3
/
ATOMIC_SPECIES
Ho 164.93 Ho.upf
Ti 47.87 Ti.upf
Si 28.09 Si.upf
ATOMIC_POSITIONS crystal
Ho 0.250 0.250 0.156
Ho 0.750 0.750 0.844
Ti 0.250 0.750 0.500
Ti 0.750 0.250 0.500
Si 0.250 0.250 0.739
Si 0.750 0.750 0.261
CELL_PARAMETERS angstrom
4.021 0.000 0.000
0.000 4.021 0.000
0.000 0.000 7.541

***

[2]
! HoZnSi, relaxed, DFT GGA-PBE; values from VASP
! Symmetry: No. 187
! Energy relative to the elements (eV per atom): -0.59
! MP2020-corrected energy (eV for the cell shown): -13.05
! Calculated total energy (eV/atom): -4.374
&SYSTEM
  ibrav = 0, nat = 3, ntyp = 3
/
ATOMIC_SPECIES
Ho 164.93 Ho.upf
Zn 65.41 Zn.upf
Si 28.09 Si.upf
ATOMIC_POSITIONS crystal
Ho 0.000 0.000 0.000
Zn 0.667 0.333 0.500
Si 0.333 0.667 0.500
CELL_PARAMETERS angstrom
4.102 0.000 0.000
-2.051 3.552 0.000
0.000 0.000 4.025

***

[3]
! SmHo3, relaxed, DFT GGA-PBE; values from VASP
! Symmetry: No. 194
! Energy relative to the elements (eV per atom): 0.02
! Calculated total energy (eV/atom): -4.599
! E above lowest polymorph (eV/atom): 0.000
&SYSTEM
  ibrav = 0, nat = 8, ntyp = 2
/
ATOMIC_SPECIES
Sm 150.36 Sm.upf
Ho 164.93 Ho.upf
ATOMIC_POSITIONS crystal
Sm 0.333 0.667 0.250
Sm 0.667 0.333 0.750
Ho 0.165 0.331 0.750
Ho 0.165 0.835 0.750
Ho 0.331 0.165 0.250
Ho 0.669 0.835 0.750
Ho 0.835 0.165 0.250
Ho 0.835 0.669 0.250
CELL_PARAMETERS angstrom
7.220 0.000 0.000
-3.610 6.252 0.000
0.000 0.000 5.727

***

[4]
! SmHo3, relaxed, DFT GGA-PBE; values from VASP
! Symmetry: No. 139
! Energy relative to the elements (eV per atom): 0.02
! Calculated total energy (eV/atom): -4.593
! E above lowest polymorph (eV/atom): 0.006
&SYSTEM
  ibrav = 0, nat = 4, ntyp = 2
/
ATOMIC_SPECIES
Sm 150.36 Sm.upf
Ho 164.93 Ho.upf
ATOMIC_POSITIONS crystal
Sm 0.000 0.000 0.000
Ho 0.250 0.750 0.500
Ho 0.500 0.500 0.000
Ho 0.750 0.250 0.500
CELL_PARAMETERS angstrom
-2.512 2.512 5.031
2.512 -2.512 5.031
2.512 2.512 -5.031

***

[5]
! SmHoZn2, relaxed, DFT GGA-PBE; values from VASP
! Symmetry: No. 225
! Energy relative to the elements (eV per atom): -0.34
! Calculated total energy (eV/atom): -3.290
&SYSTEM
  ibrav = 0, nat = 4, ntyp = 3
/
ATOMIC_SPECIES
Sm 150.36 Sm.upf
Ho 164.93 Ho.upf
Zn 65.41 Zn.upf
ATOMIC_POSITIONS crystal
Sm 0.000 0.000 0.000
Ho 0.500 0.500 0.500
Zn 0.250 0.250 0.250
Zn 0.750 0.750 0.750
CELL_PARAMETERS angstrom
0.000 3.603 3.603
3.603 0.000 3.603
3.603 3.603 0.000

***

[6]
! HoSn2, relaxed, DFT GGA-PBE; values from VASP
! Symmetry: No. 63
! Energy relative to the elements (eV per atom): -0.58
! Calculated total energy (eV/atom): -4.777
&SYSTEM
  ibrav = 0, nat = 6, ntyp = 2
/
ATOMIC_SPECIES
Ho 164.93 Ho.upf
Sn 118.71 Sn.upf
ATOMIC_POSITIONS crystal
Ho 0.099 0.901 0.750
Ho 0.901 0.099 0.250
Sn 0.251 0.749 0.250
Sn 0.437 0.563 0.750
Sn 0.563 0.437 0.250
Sn 0.749 0.251 0.750
CELL_PARAMETERS angstrom
2.209 -8.174 0.000
2.209 8.174 0.000
0.000 0.000 4.356

***

[7]
! Ho3Sn7, relaxed, DFT GGA-PBE; values from VASP
! Symmetry: No. 65
! Energy relative to the elements (eV per atom): -0.52
! Calculated total energy (eV/atom): -4.703
! E above lowest polymorph (eV/atom): 0.000
&SYSTEM
  ibrav = 0, nat = 10, ntyp = 2
/
ATOMIC_SPECIES
Ho 164.93 Ho.upf
Sn 118.71 Sn.upf
ATOMIC_POSITIONS crystal
Ho 0.000 0.000 0.000
Ho 0.311 0.689 0.500
Ho 0.689 0.311 0.500
Sn 0.096 0.904 0.500
Sn 0.211 0.789 0.000
Sn 0.403 0.597 0.000
Sn 0.500 0.500 0.500
Sn 0.597 0.403 0.000
Sn 0.789 0.211 0.000
Sn 0.904 0.096 0.500
CELL_PARAMETERS angstrom
2.202 -13.315 0.000
2.202 13.315 0.000
0.000 0.000 4.467

***

[8]
! HoZnSn2, relaxed, DFT GGA-PBE; values from VASP
! Symmetry: No. 129
! Energy relative to the elements (eV per atom): -0.44
! Calculated total energy (eV/atom): -3.902
&SYSTEM
  ibrav = 0, nat = 8, ntyp = 3
/
ATOMIC_SPECIES
Ho 164.93 Ho.upf
Zn 65.41 Zn.upf
Sn 118.71 Sn.upf
ATOMIC_POSITIONS crystal
Ho 0.250 0.250 0.250
Ho 0.750 0.750 0.750
Zn 0.250 0.750 0.000
Zn 0.750 0.250 0.000
Sn 0.250 0.250 0.811
Sn 0.250 0.750 0.500
Sn 0.750 0.250 0.500
Sn 0.750 0.750 0.189
CELL_PARAMETERS angstrom
4.362 0.000 0.000
0.000 4.362 0.000
0.000 0.000 9.842